The following is a PBE calculation of a relaxed structure of Rb2GdGaSi4O12, from Materials Project.

Magnetization (μB per atom): 0.350
Raw total energy (eV per atom): -7.73
SG: No. 15

```
Rb2GdGaSi4O12
1.0
-0.798 -4.248 -13.469
3.123 -9.497 -10.008
-9.937 -10.405 -4.521
Rb Gd Ga Si O
8 4 4 16 48
Cartesian
1.285 -9.879 -16.383 Rb
-8.896 -14.272 -11.614 Rb
-3.903 -9.103 -9.331 Rb
-3.709 -15.047 -18.667 Rb
-7.456 -17.556 -14.408 Rb
-3.262 -14.290 -14.207 Rb
-0.156 -6.595 -13.590 Rb
-4.349 -9.861 -13.791 Rb
-7.680 -10.359 -10.455 Gd
0.068 -13.792 -17.543 Gd
-6.604 -16.713 -21.308 Gd
-1.007 -7.437 -6.690 Gd
-6.996 -12.424 -14.069 Ga
-0.468 -9.309 -10.431 Ga
-0.615 -11.726 -13.929 Ga
-7.143 -14.841 -17.567 Ga
-2.482 -11.302 -16.564 Si
-5.129 -12.849 -11.434 Si
-4.601 -7.267 -6.250 Si
-5.490 -12.316 -16.745 Si
-9.210 -14.199 -15.385 Si
-6.047 -19.669 -23.350 Si
-2.122 -11.834 -11.253 Si
-3.010 -16.883 -21.748 Si
-6.344 -17.986 -17.848 Si
-1.564 -4.481 -4.648 Si
-1.268 -6.164 -10.150 Si
-0.894 -14.715 -20.925 Si
1.739 -11.388 -19.681 Si
1.599 -9.951 -12.613 Si
-6.718 -9.436 -7.072 Si
-9.351 -12.763 -8.317 Si
1.620 -12.313 -18.360 O
-9.232 -11.838 -9.638 O
0.030 -5.153 -10.275 O
-0.117 -3.836 -4.195 O
-5.822 -8.054 -7.106 O
-2.022 -11.276 -15.003 O
-5.797 -17.909 -19.369 O
-2.441 -5.606 -11.186 O
-7.494 -20.314 -23.803 O
-8.773 -17.322 -20.997 O
0.303 -10.176 -13.573 O
-6.894 -16.608 -17.178 O
-5.144 -7.328 -4.666 O
-2.897 -9.735 -16.930 O
-3.874 -12.188 -16.522 O
-1.408 -5.259 -6.064 O
-6.115 -8.941 -11.299 O
-5.171 -18.545 -16.812 O
-1.432 -11.899 -17.641 O
-1.790 -16.097 -20.892 O
-0.625 -9.389 -8.581 O
1.162 -6.828 -7.001 O
1.216 -9.763 -11.032 O
-5.754 -13.923 -16.794 O
-5.590 -12.874 -12.995 O
-1.313 -12.593 -12.457 O
-8.039 -11.317 -13.001 O
-1.079 -13.897 -19.535 O
-8.828 -14.387 -16.965 O
-0.717 -7.543 -10.819 O
-3.203 -8.055 -6.440 O
-4.409 -16.095 -21.557 O
-6.179 -12.251 -10.357 O
-7.914 -13.974 -14.425 O
-1.814 -6.242 -8.629 O
-2.467 -16.823 -23.332 O
-3.738 -11.962 -11.476 O
0.428 -12.833 -14.997 O
-1.496 -15.209 -16.699 O
-1.858 -10.228 -11.204 O
-6.298 -11.558 -15.541 O
-6.203 -18.891 -21.934 O
-0.482 -1.716 -2.675 O
-7.130 -22.434 -25.323 O
-7.641 -18.998 -17.722 O
-4.714 -14.416 -11.067 O
-6.987 -14.762 -19.417 O
-6.532 -10.253 -8.462 O
```